[1]
First-principles (PBE+U) data for an optimized crystal structure of Li2FeP4O12, as listed in Materials Project.

Computed properties:
The total DFT energy (no corrections) comes out at -0.50720 Ry/atom. The calculation puts the volume at 10.80 A^3/atom. The space group is P4/nbm, No. 125. The calculation puts the calculated formation energy at -2.542 eV/atom.

Structure (CIF):
```
data_Li2FeP4O12
_chemical_formula_sum 'Li4 Fe2 P8 O24'
_cell_length_a 9.3755
_cell_length_b 9.3755
_cell_length_c 4.6695
_cell_angle_alpha 90.00
_cell_angle_beta 90.00
_cell_angle_gamma 90.00
_space_group_name_H-M_alt 'P 1'
_space_group_IT_number 1
_space_group_name_Hall 'P 1'
loop_
_atom_site_label
_atom_site_fract_x
_atom_site_fract_y
_atom_site_fract_z
Li1 0.2500 0.2500 0.5000
Li2 0.7500 0.2500 0.5000
Li3 0.7500 0.7500 0.5000
Li4 0.2500 0.7500 0.5000
Fe1 0.5000 0.5000 0.5000
Fe2 0.0000 0.0000 0.5000
P1 0.0000 0.2759 0.0000
P2 0.7759 0.5000 0.0000
P3 0.2241 0.5000 0.0000
P4 0.0000 0.7241 0.0000
P5 0.5000 0.7759 0.0000
P6 0.2759 0.0000 0.0000
P7 0.7241 0.0000 0.0000
P8 0.5000 0.2241 0.0000
O1 0.5701 0.2997 0.2456
O2 0.4299 0.2997 0.7544
O3 0.1155 0.3845 0.8550
O4 0.8845 0.3845 0.1450
O5 0.2997 0.4299 0.2456
O6 0.7003 0.4299 0.7544
O7 0.7003 0.5701 0.2456
O8 0.2997 0.5701 0.7544
O9 0.1155 0.6155 0.1450
O10 0.8845 0.6155 0.8550
O11 0.4299 0.7003 0.2456
O12 0.5701 0.7003 0.7544
O13 0.9299 0.7997 0.2456
O14 0.0701 0.7997 0.7544
O15 0.3845 0.8845 0.8550
O16 0.6155 0.8845 0.1450
O17 0.2003 0.9299 0.2456
O18 0.7997 0.9299 0.7544
O19 0.7997 0.0701 0.2456
O20 0.2003 0.0701 0.7544
O21 0.3845 0.1155 0.1450
O22 0.6155 0.1155 0.8550
O23 0.9299 0.2003 0.7544
O24 0.0701 0.2003 0.2456
```



[2]
First-principles (PBE+U) data for an optimized crystal structure of Li9Mn2Co5O16, as listed in Materials Project.

Computed properties:
The total DFT energy (no corrections) comes out at -0.42621 Ry/atom. The calculation puts the volume at 9.05 A^3/atom. The space group is Pm, No. 6. The calculation puts the calculated formation energy at -1.808 eV/atom.

Structure (CIF):
```
data_Li9Mn2Co5O16
_chemical_formula_sum 'Li9 Mn2 Co5 O16'
_cell_length_a 2.8926
_cell_length_b 9.8769
_cell_length_c 10.2709
_cell_angle_alpha 80.83
_cell_angle_beta 90.00
_cell_angle_gamma 90.00
_space_group_name_H-M_alt 'P 1'
_space_group_IT_number 1
_space_group_name_Hall 'P 1'
loop_
_atom_site_label
_atom_site_fract_x
_atom_site_fract_y
_atom_site_fract_z
Li1 0.5000 0.2439 0.8762
Li2 0.5000 0.7678 0.6135
Li3 0.5000 0.2354 0.3849
Li4 0.0000 0.2410 0.6189
Li5 0.0000 0.7577 0.3766
Li6 0.0000 0.2420 0.1311
Li7 0.5000 0.7519 0.1236
Li8 0.0000 0.7596 0.8738
Li9 0.0000 0.0009 0.4998
Mn1 0.0000 0.0000 0.0002
Mn2 0.0000 0.5000 0.7517
Co1 0.0000 0.4981 0.2470
Co2 0.5000 0.4969 0.4975
Co3 0.5000 0.9932 0.2719
Co4 0.5000 0.5045 0.0023
Co5 0.5000 0.0065 0.7285
O1 0.5000 0.1109 0.0562
O2 0.5000 0.6103 0.8053
O3 0.5000 0.1223 0.5749
O4 0.0000 0.1077 0.8246
O5 0.0000 0.6076 0.5719
O6 0.0000 0.1195 0.3050
O7 0.5000 0.6048 0.3093
O8 0.0000 0.6231 0.0573
O9 0.5000 0.3900 0.6951
O10 0.5000 0.8758 0.4252
O11 0.5000 0.3904 0.1892
O12 0.0000 0.3848 0.4457
O13 0.0000 0.8927 0.1767
O14 0.0000 0.3896 0.9253
O15 0.5000 0.8913 0.9445
O16 0.0000 0.8800 0.6959
```



[3]
First-principles (PBE+U) data for an optimized crystal structure of MgCo4Cu2O8, as listed in Materials Project.

Computed properties:
The total DFT energy (no corrections) comes out at -0.40945 Ry/atom. The calculation puts the volume at 10.38 A^3/atom. The space group is P-1, No. 2. The calculation puts the calculated formation energy at -1.186 eV/atom.

Structure (CIF):
```
data_MgCo4Cu2O8
_chemical_formula_sum 'Mg1 Co4 Cu2 O8'
_cell_length_a 6.2575
_cell_length_b 5.8835
_cell_length_c 5.8483
_cell_angle_alpha 60.01
_cell_angle_beta 90.93
_cell_angle_gamma 119.02
_space_group_name_H-M_alt 'P 1'
_space_group_IT_number 1
_space_group_name_Hall 'P 1'
loop_
_atom_site_label
_atom_site_fract_x
_atom_site_fract_y
_atom_site_fract_z
Mg1 0.6250 0.7500 0.1250
Co1 0.0917 0.0677 0.9747
Co2 0.6250 0.2500 0.6250
Co3 0.1583 0.4323 0.2753
Co4 0.1250 0.7500 0.6250
Cu1 0.6250 0.2500 0.1250
Cu2 0.6250 0.7500 0.6250
O1 0.8012 0.1989 0.4001
O2 0.3787 0.2534 0.3723
O3 0.8713 0.2466 0.8777
O4 0.8716 0.7539 0.3749
O5 0.8735 0.7555 0.8814
O6 0.4488 0.3011 0.8499
O7 0.3765 0.7445 0.3686
O8 0.3784 0.7461 0.8751
```



[4]
First-principles (PBE+U) data for an optimized crystal structure of Li4Mn5VP6O24, as listed in Materials Project.

Computed properties:
The total DFT energy (no corrections) comes out at -0.53107 Ry/atom. The calculation puts the volume at 12.10 A^3/atom. The space group is P1, No. 1. The calculation puts the calculated formation energy at -2.545 eV/atom.

Structure (CIF):
```
data_Li4Mn5VP6O24
_chemical_formula_sum 'Li4 Mn5 V1 P6 O24'
_cell_length_a 8.5711
_cell_length_b 8.6473
_cell_length_c 8.7180
_cell_angle_alpha 62.20
_cell_angle_beta 62.82
_cell_angle_gamma 62.95
_space_group_name_H-M_alt 'P 1'
_space_group_IT_number 1
_space_group_name_Hall 'P 1'
loop_
_atom_site_label
_atom_site_fract_x
_atom_site_fract_y
_atom_site_fract_z
Li1 0.7443 0.1487 0.3590
Li2 0.2674 0.8519 0.6466
Li3 0.6435 0.2653 0.8552
Li4 0.8536 0.6477 0.2667
Mn1 0.0161 0.0024 0.9920
Mn2 0.3489 0.3543 0.3526
Mn3 0.4903 0.5035 0.4997
Mn4 0.1472 0.1495 0.1467
Mn5 0.6548 0.6501 0.6567
V1 0.8529 0.8489 0.8527
P1 0.0547 0.7522 0.4467
P2 0.4465 0.0503 0.7491
P3 0.7520 0.4441 0.0538
P4 0.2469 0.5473 0.9523
P5 0.5552 0.9532 0.2477
P6 0.9404 0.2460 0.5502
O1 0.4686 0.9007 0.6843
O2 0.6870 0.4624 0.9072
O3 0.9041 0.6889 0.4642
O4 0.0586 0.9223 0.2630
O5 0.0056 0.8121 0.6099
O6 0.2445 0.6058 0.4310
O7 0.2566 0.0733 0.8997
O8 0.4576 0.2334 0.5877
O9 0.1821 0.3896 0.9926
O10 0.6086 0.4256 0.2470
O11 0.0906 0.7425 0.9274
O12 0.3891 0.0069 0.1900
O13 0.6047 0.9987 0.8210
O14 0.9079 0.2509 0.0770
O15 0.3952 0.5708 0.7579
O16 0.8181 0.6043 0.0048
O17 0.5710 0.7577 0.3976
O18 0.7474 0.9236 0.0891
O19 0.7481 0.3991 0.5804
O20 0.9574 0.1871 0.4012
O21 0.9234 0.0881 0.7454
O22 0.1020 0.3002 0.5103
O23 0.3097 0.5185 0.1013
O24 0.5476 0.0989 0.3051
```



[5]
First-principles (PBE+U) data for an optimized crystal structure of Li9Mn2Co5O16, as listed in Materials Project.

Computed properties:
The total DFT energy (no corrections) comes out at -0.42817 Ry/atom. The calculation puts the volume at 8.82 A^3/atom. The space group is P-1, No. 2. The calculation puts the calculated formation energy at -1.835 eV/atom.

Structure (CIF):
```
data_Li9Mn2Co5O16
_chemical_formula_sum 'Li9 Mn2 Co5 O16'
_cell_length_a 5.8971
_cell_length_b 6.4415
_cell_length_c 7.8725
_cell_angle_alpha 86.07
_cell_angle_beta 75.86
_cell_angle_gamma 76.88
_space_group_name_H-M_alt 'P 1'
_space_group_IT_number 1
_space_group_name_Hall 'P 1'
loop_
_atom_site_label
_atom_site_fract_x
_atom_site_fract_y
_atom_site_fract_z
Li1 0.9421 0.8766 0.3711
Li2 0.6765 0.3665 0.8769
Li3 0.4308 0.8750 0.3648
Li4 0.8022 0.6322 0.1234
Li5 0.5692 0.1250 0.6352
Li6 0.3235 0.6335 0.1231
Li7 0.1978 0.3678 0.8766
Li8 0.0579 0.1234 0.6289
Li9 0.5000 0.0000 0.0000
Mn1 0.8713 0.7533 0.7549
Mn2 0.1287 0.2467 0.2451
Co1 0.6221 0.2513 0.2443
Co2 0.3779 0.7487 0.7557
Co3 0.2479 0.5005 0.4980
Co4 0.0000 0.0000 0.0000
Co5 0.7521 0.4995 0.5020
O1 0.1517 0.7925 0.5669
O2 0.9193 0.2951 0.0811
O3 0.6668 0.7942 0.5834
O4 0.0134 0.5481 0.3185
O5 0.7846 0.0456 0.8085
O6 0.5204 0.5437 0.3201
O7 0.3868 0.3150 0.0730
O8 0.2676 0.0366 0.8172
O9 0.7324 0.9634 0.1828
O10 0.4796 0.4563 0.6799
O11 0.2154 0.9544 0.1915
O12 0.6132 0.6850 0.9270
O13 0.3332 0.2058 0.4166
O14 0.0807 0.7049 0.9189
O15 0.9866 0.4519 0.6815
O16 0.8483 0.2075 0.4331
```



[6]
First-principles (PBE+U) data for an optimized crystal structure of MnH8C4N3O6, as listed in Materials Project.

Computed properties:
The total DFT energy (no corrections) comes out at -0.47083 Ry/atom. The calculation puts the volume at 11.17 A^3/atom. The space group is Pna2_1, No. 33. The calculation puts the calculated formation energy at -0.855 eV/atom.

Structure (CIF):
```
data_MnH8C4N3O6
_chemical_formula_sum 'Mn4 H32 C16 N12 O24'
_cell_length_a 8.8054
_cell_length_b 9.0191
_cell_length_c 12.3744
_cell_angle_alpha 90.00
_cell_angle_beta 90.00
_cell_angle_gamma 90.00
_space_group_name_H-M_alt 'P 1'
_space_group_IT_number 1
_space_group_name_Hall 'P 1'
loop_
_atom_site_label
_atom_site_fract_x
_atom_site_fract_y
_atom_site_fract_z
Mn1 0.2524 0.2485 0.7496
Mn2 0.2476 0.2515 0.2496
Mn3 0.7476 0.7485 0.2496
Mn4 0.7524 0.7515 0.7496
H1 0.9017 0.0743 0.7750
H2 0.5922 0.0750 0.2252
H3 0.9078 0.4250 0.7252
H4 0.5983 0.4257 0.2750
H5 0.0922 0.9250 0.2252
H6 0.4017 0.9257 0.7750
H7 0.0983 0.5743 0.2750
H8 0.4078 0.5750 0.7252
H9 0.2520 0.3173 0.0011
H10 0.2480 0.1827 0.5011
H11 0.7520 0.6827 0.0011
H12 0.7480 0.8173 0.5011
H13 0.1731 0.9258 0.9211
H14 0.3258 0.9244 0.0788
H15 0.1742 0.5756 0.5788
H16 0.3269 0.5742 0.4211
H17 0.8258 0.0756 0.0788
H18 0.6731 0.0742 0.9211
H19 0.8269 0.4258 0.4211
H20 0.6742 0.4244 0.5788
H21 0.0940 0.7528 0.8779
H22 0.4043 0.7489 0.1204
H23 0.0957 0.7511 0.6204
H24 0.4060 0.7472 0.3779
H25 0.9043 0.2511 0.1204
H26 0.5940 0.2472 0.8779
H27 0.9060 0.2528 0.3779
H28 0.5957 0.2489 0.6204
H29 0.1791 0.5457 0.9468
H30 0.3209 0.9543 0.4468
H31 0.6791 0.4543 0.9468
H32 0.8209 0.0457 0.4468
C1 0.2504 0.1950 0.0005
C2 0.2496 0.3050 0.5005
C3 0.7504 0.8050 0.0005
C4 0.7496 0.6950 0.5005
C5 0.2503 0.7380 0.9990
C6 0.2497 0.7620 0.4990
C7 0.7503 0.2620 0.9990
C8 0.7497 0.2380 0.4990
C9 0.9823 0.0152 0.7212
C10 0.5160 0.0135 0.2808
C11 0.9840 0.4865 0.7808
C12 0.5177 0.4848 0.2212
C13 0.0160 0.9865 0.2808
C14 0.4823 0.9848 0.7212
C15 0.0177 0.5152 0.2212
C16 0.4840 0.5135 0.7808
N1 0.2614 0.5891 0.9972
N2 0.2386 0.9109 0.4972
N3 0.7614 0.4109 0.9972
N4 0.7386 0.0891 0.4972
N5 0.1634 0.8127 0.9280
N6 0.3344 0.8113 0.0720
N7 0.1656 0.6887 0.5720
N8 0.3366 0.6873 0.4280
N9 0.8344 0.1887 0.0720
N10 0.6634 0.1873 0.9280
N11 0.8366 0.3127 0.4280
N12 0.6656 0.3113 0.5720
O1 0.9476 0.8836 0.6934
O2 0.5546 0.8831 0.3079
O3 0.9454 0.6169 0.8079
O4 0.5524 0.6164 0.1934
O5 0.0546 0.1169 0.3079
O6 0.4476 0.1164 0.6934
O7 0.0524 0.3836 0.1934
O8 0.4454 0.3831 0.8079
O9 0.1022 0.0814 0.6927
O10 0.3955 0.0767 0.3128
O11 0.1045 0.4233 0.8128
O12 0.3978 0.4186 0.1927
O13 0.8955 0.9233 0.3128
O14 0.6022 0.9186 0.6927
O15 0.8978 0.5814 0.1927
O16 0.6045 0.5767 0.8128
O17 0.2434 0.1291 0.9096
O18 0.2564 0.1285 0.0913
O19 0.2436 0.3715 0.5913
O20 0.2566 0.3709 0.4096
O21 0.7564 0.8715 0.0913
O22 0.7434 0.8709 0.9096
O23 0.7566 0.6291 0.4096
O24 0.7436 0.6285 0.5913
```